DFT (GGA-PBE) results for Pr4OsI5 after structural relaxation.

Structure (POSCAR):
```
Pr4OsI5
1.0
2.154 10.042 0.000
-2.154 10.042 0.000
0.000 2.110 9.137
I Os Pr
5 1 4
direct
0.666 0.666 0.663 I
0.672 0.672 0.168 I
0.328 0.328 0.832 I
0.334 0.334 0.337 I
0.000 0.000 0.500 I
0.000 0.000 0.000 Os
0.139 0.139 0.928 Pr
0.500 0.500 0.209 Pr
0.500 0.500 0.791 Pr
0.861 0.861 0.072 Pr
```

Values from the calculation:
* formation energy from the elements: -12.63 eV/f.u.
* crystal system: monoclinic

---

DFT (GGA-PBE) results for PI2 after structural relaxation.

Structure (POSCAR):
```
PI2
1.0
5.204 0.000 0.000
2.145 7.256 0.000
1.616 0.895 7.516
P I
2 4
direct
0.416 0.033 0.872 P
0.584 0.967 0.128 P
0.799 0.808 0.710 I
0.557 0.328 0.779 I
0.201 0.192 0.290 I
0.443 0.672 0.221 I
```

Values from the calculation:
* formation energy from the elements: -0.94 eV/f.u.
* crystal system: triclinic

---

DFT (GGA-PBE) results for Rb4P21I after structural relaxation.

Structure (POSCAR):
```
Rb4P21I
1.0
0.845 12.941 1.674
-11.252 -4.277 -5.108
-3.798 -0.935 9.148
P Rb I
42 8 2
direct
0.500 0.943 0.415 P
0.315 0.014 0.923 P
0.151 0.151 0.588 P
0.685 0.986 0.077 P
0.986 0.685 0.077 P
0.500 0.943 0.085 P
0.986 0.685 0.423 P
0.849 0.849 0.088 P
0.057 0.500 0.915 P
0.014 0.315 0.577 P
0.330 0.182 0.864 P
0.014 0.315 0.923 P
0.239 0.893 0.750 P
0.050 0.050 0.750 P
0.496 0.057 0.250 P
0.943 0.500 0.415 P
0.685 0.986 0.423 P
0.057 0.500 0.585 P
0.182 0.330 0.636 P
0.818 0.670 0.364 P
0.151 0.151 0.912 P
0.849 0.849 0.412 P
0.500 0.057 0.585 P
0.500 0.057 0.915 P
0.315 0.014 0.577 P
0.761 0.107 0.250 P
0.670 0.818 0.364 P
0.330 0.182 0.636 P
0.182 0.330 0.864 P
0.340 0.799 0.750 P
0.943 0.500 0.085 P
0.660 0.201 0.250 P
0.893 0.239 0.750 P
0.107 0.761 0.250 P
0.504 0.943 0.750 P
0.799 0.340 0.750 P
0.950 0.950 0.250 P
0.943 0.504 0.750 P
0.818 0.670 0.136 P
0.057 0.496 0.250 P
0.201 0.660 0.250 P
0.670 0.818 0.136 P
0.380 0.620 0.000 Rb
0.065 0.240 0.250 Rb
0.935 0.760 0.750 Rb
0.620 0.380 0.500 Rb
0.240 0.065 0.250 Rb
0.620 0.380 0.000 Rb
0.760 0.935 0.750 Rb
0.380 0.620 0.500 Rb
0.602 0.602 0.750 I
0.398 0.398 0.250 I
```

Values from the calculation:
* formation energy from the elements: -8.40 eV/f.u.
* crystal system: orthorhombic

---

DFT (GGA-PBE) results for P3Se4I after structural relaxation.

Structure (POSCAR):
```
P3Se4I
1.0
7.044 0.000 0.000
0.000 12.391 0.000
0.000 7.145 13.268
Se P I
16 12 4
direct
0.790 0.115 0.529 Se
0.367 0.256 0.394 Se
0.210 0.885 0.471 Se
0.290 0.885 0.971 Se
0.687 0.446 0.897 Se
0.178 0.642 0.716 Se
0.322 0.642 0.216 Se
0.133 0.256 0.894 Se
0.678 0.358 0.784 Se
0.313 0.554 0.103 Se
0.822 0.358 0.284 Se
0.187 0.554 0.603 Se
0.710 0.115 0.029 Se
0.813 0.446 0.397 Se
0.867 0.744 0.106 Se
0.633 0.744 0.606 Se
0.226 0.718 0.953 P
0.656 0.186 0.373 P
0.726 0.282 0.547 P
0.156 0.814 0.127 P
0.579 0.680 0.489 P
0.774 0.282 0.047 P
0.921 0.680 0.989 P
0.421 0.320 0.511 P
0.344 0.814 0.627 P
0.274 0.718 0.453 P
0.079 0.320 0.011 P
0.844 0.186 0.873 P
0.290 0.152 0.675 I
0.710 0.848 0.325 I
0.790 0.848 0.825 I
0.210 0.152 0.175 I
```

Values from the calculation:
* formation energy from the elements: -0.84 eV/f.u.
* crystal system: monoclinic

---

DFT (GGA-PBE) results for PaI3 after structural relaxation.

Structure (POSCAR):
```
PaI3
1.0
5.717 -9.903 0.000
5.717 9.903 0.000
0.000 0.000 3.997
I Pa
6 2
direct
0.423 0.211 0.750 I
0.577 0.789 0.250 I
0.789 0.577 0.750 I
0.211 0.423 0.250 I
0.211 0.789 0.250 I
0.789 0.211 0.750 I
0.667 0.333 0.250 Pa
0.333 0.667 0.750 Pa
```

Values from the calculation:
* formation energy from the elements: -4.61 eV/f.u.
* crystal system: hexagonal

---

DFT (GGA-PBE) results for PbI2 after structural relaxation.

Structure (POSCAR):
```
PbI2
1.0
2.339 -4.052 0.000
2.339 4.052 0.000
0.000 0.000 31.584
I Pb
8 4
direct
0.333 0.667 0.191 I
0.333 0.667 0.441 I
0.667 0.333 0.691 I
0.000 0.000 0.059 I
0.000 0.000 0.309 I
0.667 0.333 0.941 I
0.000 0.000 0.809 I
0.000 0.000 0.559 I
0.333 0.667 0.000 Pb
0.333 0.667 0.750 Pb
0.667 0.333 0.500 Pb
0.667 0.333 0.250 Pb
```

Values from the calculation:
* formation energy from the elements: -2.76 eV/f.u.
* crystal system: hexagonal
* maximum piezoelectric response: 0.01 C/m2

---

DFT (GGA-PBE) results for PbI2 after structural relaxation.

Structure (POSCAR):
```
PbI2
1.0
2.334 -4.043 0.000
2.334 4.043 0.000
0.000 0.000 37.629
I Pb
10 5
direct
0.000 0.000 0.203 I
0.000 0.000 0.604 I
0.667 0.333 0.303 I
0.000 0.000 0.403 I
0.667 0.333 0.703 I
0.000 0.000 0.003 I
0.667 0.333 0.902 I
0.667 0.333 0.103 I
0.333 0.667 0.803 I
0.667 0.333 0.503 I
0.333 0.667 0.253 Pb
0.333 0.667 0.653 Pb
0.000 0.000 0.853 Pb
0.333 0.667 0.053 Pb
0.333 0.667 0.453 Pb
```

Values from the calculation:
* formation energy from the elements: -2.76 eV/f.u.
* crystal system: trigonal

---

DFT (GGA-PBE) results for PbI2 after structural relaxation.

Structure (POSCAR):
```
PbI2
1.0
-4.363 1.102 -1.219
1.871 -4.027 -1.421
-5.450 -7.138 13.051
Pb I
2 4
direct
0.333 0.667 0.000 Pb
0.667 0.333 0.500 Pb
0.000 0.000 0.118 I
0.667 0.333 0.882 I
0.000 0.000 0.618 I
0.333 0.667 0.382 I
```

Values from the calculation:
* formation energy from the elements: -2.76 eV/f.u.
* crystal system: hexagonal
* maximum piezoelectric response: 0.01 C/m2

---

DFT (GGA-PBE) results for PbI2 after structural relaxation.

Structure (POSCAR):
```
PbI2
1.0
2.331 -4.037 0.000
2.331 4.037 0.000
0.000 0.000 86.884
Pb I
12 24
direct
0.333 0.667 0.146 Pb
0.667 0.333 0.896 Pb
0.667 0.333 0.646 Pb
0.667 0.333 0.229 Pb
0.667 0.333 0.563 Pb
0.333 0.667 0.063 Pb
0.333 0.667 0.479 Pb
0.667 0.333 0.813 Pb
0.333 0.667 0.396 Pb
0.667 0.333 0.729 Pb
0.667 0.333 0.979 Pb
0.667 0.333 0.312 Pb
0.000 0.000 0.791 I
0.000 0.000 0.707 I
0.333 0.667 0.918 I
0.000 0.000 0.374 I
0.667 0.333 0.418 I
0.333 0.667 0.584 I
0.000 0.000 0.207 I
0.667 0.333 0.501 I
0.000 0.000 0.541 I
0.000 0.000 0.291 I
0.333 0.667 0.751 I
0.000 0.000 0.874 I
0.000 0.000 0.041 I
0.333 0.667 0.834 I
0.000 0.000 0.624 I
0.000 0.000 0.457 I
0.667 0.333 0.084 I
0.667 0.333 0.168 I
0.000 0.000 0.124 I
0.333 0.667 0.668 I
0.333 0.667 0.334 I
0.333 0.667 0.251 I
0.000 0.000 0.957 I
0.333 0.667 0.001 I
```

Values from the calculation:
* formation energy from the elements: -2.75 eV/f.u.
* crystal system: trigonal

---

DFT (GGA-PBE) results for PbI2 after structural relaxation.

Structure (POSCAR):
```
PbI2
1.0
2.332 -4.038 0.000
2.332 4.038 0.000
0.000 0.000 53.260
I Pb
14 7
direct
0.667 0.333 0.073 I
0.000 0.000 0.717 I
0.000 0.000 0.431 I
0.000 0.000 0.146 I
0.000 0.000 0.574 I
0.000 0.000 0.289 I
0.667 0.333 0.216 I
0.667 0.333 0.930 I
0.667 0.333 0.644 I
0.333 0.667 0.860 I
0.667 0.333 0.501 I
0.667 0.333 0.359 I
0.000 0.000 0.003 I
0.667 0.333 0.787 I
0.333 0.667 0.324 Pb
0.333 0.667 0.609 Pb
0.333 0.667 0.466 Pb
0.333 0.667 0.038 Pb
0.333 0.667 0.181 Pb
0.333 0.667 0.752 Pb
0.000 0.000 0.895 Pb
```

Values from the calculation:
* formation energy from the elements: -2.76 eV/f.u.
* crystal system: trigonal

---

DFT (GGA-PBE) results for PbI2 after structural relaxation.

Structure (POSCAR):
```
PbI2
1.0
4.554 -0.573 -0.940
1.907 2.108 -3.724
3.859 6.797 2.876
I Pb
2 1
direct
0.255 0.255 0.236 I
0.745 0.745 0.764 I
0.000 0.000 0.000 Pb
```

Values from the calculation:
* formation energy from the elements: -2.76 eV/f.u.
* crystal system: trigonal

---

DFT (GGA-PBE) results for PbI2 after structural relaxation.

Structure (POSCAR):
```
PbI2
1.0
2.325 -4.027 0.000
2.325 4.027 0.000
0.000 0.000 110.036
I Pb
30 15
direct
0.000 0.000 0.933 I
0.333 0.667 0.533 I
0.667 0.333 0.700 I
0.333 0.667 0.133 I
0.000 0.000 0.066 I
0.667 0.333 0.300 I
0.667 0.333 0.767 I
0.667 0.333 0.634 I
0.667 0.333 0.234 I
0.667 0.333 0.100 I
0.000 0.000 0.400 I
0.000 0.000 0.266 I
0.667 0.333 0.834 I
0.667 0.333 0.500 I
0.000 0.000 0.800 I
0.667 0.333 0.567 I
0.333 0.667 0.333 I
0.000 0.000 0.666 I
0.667 0.333 0.434 I
0.000 0.000 0.600 I
0.000 0.000 0.866 I
0.333 0.667 0.733 I
0.667 0.333 0.034 I
0.667 0.333 0.367 I
0.000 0.000 0.466 I
0.667 0.333 0.900 I
0.000 0.000 0.200 I
0.667 0.333 0.967 I
0.667 0.333 0.167 I
0.333 0.667 0.000 I
0.333 0.667 0.483 Pb
0.000 0.000 0.150 Pb
0.333 0.667 0.083 Pb
0.000 0.000 0.350 Pb
0.000 0.000 0.550 Pb
0.333 0.667 0.817 Pb
0.333 0.667 0.417 Pb
0.333 0.667 0.683 Pb
0.333 0.667 0.217 Pb
0.000 0.000 0.017 Pb
0.333 0.667 0.283 Pb
0.333 0.667 0.950 Pb
0.000 0.000 0.750 Pb
0.333 0.667 0.617 Pb
0.333 0.667 0.883 Pb
```

Values from the calculation:
* formation energy from the elements: -2.75 eV/f.u.
* crystal system: trigonal

---

DFT (GGA-PBE) results for PbI2 after structural relaxation.

Structure (POSCAR):
```
PbI2
1.0
-17.218 4.319 -24.041
-18.934 0.075 -23.121
-20.813 3.841 -21.099
I Pb
8 4
direct
0.271 0.271 0.271 I
0.354 0.354 0.354 I
0.188 0.188 0.188 I
0.438 0.438 0.438 I
0.729 0.729 0.729 I
0.646 0.646 0.646 I
0.562 0.562 0.562 I
0.812 0.812 0.812 I
0.500 0.500 0.500 Pb
0.917 0.917 0.917 Pb
0.083 0.083 0.083 Pb
0.000 0.000 0.000 Pb
```

Values from the calculation:
* formation energy from the elements: -2.75 eV/f.u.
* crystal system: trigonal

---

DFT (GGA-PBE) results for PbI2 after structural relaxation.

Structure (POSCAR):
```
PbI2
1.0
-14.746 -5.021 -16.488
-11.099 -7.159 -18.441
-13.759 -9.433 -15.369
I Pb
6 3
direct
0.139 0.139 0.139 I
0.250 0.250 0.250 I
0.639 0.639 0.639 I
0.861 0.861 0.861 I
0.361 0.361 0.361 I
0.750 0.750 0.750 I
0.444 0.444 0.444 Pb
0.556 0.556 0.556 Pb
0.000 0.000 0.000 Pb
```

Values from the calculation:
* formation energy from the elements: -2.75 eV/f.u.
* crystal system: trigonal

---

DFT (GGA-PBE) results for PbI2 after structural relaxation.

Structure (POSCAR):
```
PbI2
1.0
2.331 -4.037 0.000
2.331 4.037 0.000
0.000 0.000 22.305
I Pb
6 3
direct
0.667 0.333 0.084 I
0.667 0.333 0.418 I
0.000 0.000 0.916 I
0.333 0.667 0.582 I
0.667 0.333 0.750 I
0.000 0.000 0.250 I
0.333 0.667 0.000 Pb
0.000 0.000 0.666 Pb
0.333 0.667 0.334 Pb
```

Values from the calculation:
* formation energy from the elements: -2.76 eV/f.u.
* crystal system: trigonal

---

DFT (GGA-PBE) results for PbI2 after structural relaxation.

Structure (POSCAR):
```
PbI2
1.0
21.988 -2.341 0.000
21.988 2.341 0.000
21.738 0.000 4.047
Pb I
3 6
direct
0.000 0.000 0.000 Pb
0.556 0.556 0.556 Pb
0.444 0.444 0.444 Pb
0.807 0.807 0.807 I
0.305 0.305 0.305 I
0.695 0.695 0.695 I
0.082 0.082 0.082 I
0.918 0.918 0.918 I
0.193 0.193 0.193 I
```

Values from the calculation:
* formation energy from the elements: -2.74 eV/f.u.
* crystal system: trigonal

---

DFT (GGA-PBE) results for PbI2 after structural relaxation.

Structure (POSCAR):
```
PbI2
1.0
1.737 0.089 -4.317
2.827 3.461 -1.300
13.333 -6.740 2.716
I Pb
4 2
direct
0.125 0.125 0.626 I
0.709 0.709 0.874 I
0.875 0.875 0.374 I
0.291 0.291 0.126 I
0.000 0.000 0.000 Pb
0.500 0.500 0.500 Pb
```

Values from the calculation:
* formation energy from the elements: -2.76 eV/f.u.
* crystal system: trigonal